(1)
An optimized crystal structure of Li2Mg, computed with PBE.

abc: 5.9039 5.9039 5.9039
angles: 53.55 53.55 53.55
Positions (direct):
Li  0.0000  0.0000  0.0000
Li  0.1667  0.8333  0.5000
Li  0.5000  0.1667  0.8333
Li  0.8333  0.5000  0.1667
Mg  0.3333  0.3333  0.3333
Mg  0.6667  0.6667  0.6667

=====

(2)
An optimized crystal structure of CsAuO3, computed with PBE.

abc: 4.2900 4.2900 4.2900
angles: 90.00 90.00 90.00
Positions (direct):
Cs  0.0000  0.0000  0.0000
Au  0.5000  0.5000  0.5000
O  0.0000  0.5000  0.5000
O  0.5000  0.0000  0.5000
O  0.5000  0.5000  0.0000

=====

(3)
An optimized crystal structure of VAu, computed with PBE.

abc: 2.8208 2.8208 13.8333
angles: 90.00 90.00 120.00
Positions (direct):
V  0.0000  0.0000  0.0000
V  0.3333  0.6667  0.6667
V  0.6667  0.3333  0.3333
Au  0.0000  0.0000  0.5000
Au  0.3333  0.6667  0.1667
Au  0.6667  0.3333  0.8333

=====

(4)
An optimized crystal structure of Sr2CeSiO6, computed with PBE.

abc: 5.7124 5.7124 5.7124
angles: 60.00 60.00 60.00
Positions (direct):
Sr  0.2500  0.2500  0.2500
Sr  0.7500  0.7500  0.7500
Ce  0.0000  0.0000  0.0000
Si  0.5000  0.5000  0.5000
O  0.2747  0.2747  0.7253
O  0.2747  0.7253  0.2747
O  0.2747  0.7253  0.7253
O  0.7253  0.2747  0.2747
O  0.7253  0.2747  0.7253
O  0.7253  0.7253  0.2747

=====

no.,mass density (g/cm3),total energy (eV per formula unit)
1,1.03,-5.51
2,7.95,-19.26
3,12.96,-11.93
4,5.54,-74.15